(1)
First-principles (PBE+U) data for BaSrMgFe4O8 after structural relaxation, as listed in Materials Project.

```
data_BaSrMgFe4O8
_chemical_formula_sum 'Ba1 Sr1 Mg1 Fe4 O8'
_symmetry_space_group_name_H-M 'P 1'
_symmetry_Int_Tables_number 1
_cell_length_a 5.4956
_cell_length_b 5.4956
_cell_length_c 8.5700
_cell_angle_alpha 90.00
_cell_angle_beta 90.00
_cell_angle_gamma 120.00
loop_
_symmetry_equiv_pos_as_xyz
'x,y,z'
loop_
_atom_site_label
_atom_site_type_symbol
_atom_site_fract_x
_atom_site_fract_y
_atom_site_fract_z
Ba1 Ba 0.0000 0.0000 0.0000
Sr1 Sr 0.0000 0.0000 0.5000
Mg1 Mg 0.6667 0.3333 0.5000
Fe1 Fe 0.3333 0.6667 0.2403
Fe2 Fe 0.3333 0.6667 0.7597
Fe3 Fe 0.6667 0.3333 0.2113
Fe4 Fe 0.6667 0.3333 0.7887
O1 O 0.3333 0.6667 0.0000
O2 O 0.3750 0.0092 0.3318
O3 O 0.3750 0.3657 0.6682
O4 O 0.6343 0.0092 0.6682
O5 O 0.6343 0.6250 0.3318
O6 O 0.6667 0.3333 0.0000
O7 O 0.9908 0.3657 0.3318
O8 O 0.9908 0.6250 0.6682
```

Computed properties:
- DFT formation energy (eV per atom) = -1.9258
- total magnetic moment (μB per formula unit) = 18.00
- E_tot (eV/atom) = -6.203
- space group = P312, No. 149

=====

(2)
First-principles (PBE+U) data for BaSrMgFe4O8 after structural relaxation, as listed in Materials Project.

```
data_BaSrMgFe4O8
_chemical_formula_sum 'Ba1 Sr1 Mg1 Fe4 O8'
_symmetry_space_group_name_H-M 'P 1'
_symmetry_Int_Tables_number 1
_cell_length_a 5.5028
_cell_length_b 5.5028
_cell_length_c 11.0776
_cell_angle_alpha 90.00
_cell_angle_beta 90.00
_cell_angle_gamma 120.00
loop_
_symmetry_equiv_pos_as_xyz
'x,y,z'
loop_
_atom_site_label
_atom_site_type_symbol
_atom_site_fract_x
_atom_site_fract_y
_atom_site_fract_z
Ba1 Ba 0.0000 0.0000 0.0000
Sr1 Sr 0.0000 0.0000 0.3523
Mg1 Mg 0.0000 0.0000 0.6928
Fe1 Fe 0.3333 0.6667 0.1643
Fe2 Fe 0.3333 0.6667 0.8226
Fe3 Fe 0.6667 0.3333 0.1643
Fe4 Fe 0.6667 0.3333 0.8226
O1 O 0.0000 0.3392 0.2227
O2 O 0.0000 0.6790 0.7727
O3 O 0.3210 0.3210 0.7727
O4 O 0.3333 0.6667 0.9947
O5 O 0.3392 0.0000 0.2227
O6 O 0.6608 0.6608 0.2227
O7 O 0.6667 0.3333 0.9947
O8 O 0.6790 0.0000 0.7727
```

Computed properties:
- DFT formation energy (eV per atom) = -1.9170
- total magnetic moment (μB per formula unit) = 19.92
- E_tot (eV/atom) = -6.194
- space group = P31m, No. 157

=====

What did we get for polymorph energy (0 for the lowest one)? Answer: 111; 120 meV per atom, in the order shown.